Computed, not measured: Mg14NbCuO16 after structural relaxation at the PBE level of DFT.

Computed properties:
The formation energy comes out at -2.8053 eV per atom. Its space-group type is P4/mmm, No. 123.

Cell lengths 8.638, 8.638, 4.256 Å; angles 90.00, 90.00, 90.00 degrees
Element x y z (fractional)
Mg  0.000  0.245  0.000
Mg  0.000  0.500  0.500
Mg  0.000  0.755  0.000
Mg  0.240  0.500  0.000
Mg  0.242  0.242  0.500
Mg  0.242  0.758  0.500
Mg  0.245  0.000  0.000
Mg  0.500  0.000  0.500
Mg  0.500  0.240  0.000
Mg  0.500  0.760  0.000
Mg  0.755  0.000  0.000
Mg  0.758  0.242  0.500
Mg  0.758  0.758  0.500
Mg  0.760  0.500  0.000
Nb  0.500  0.500  0.500
Cu  0.000  0.000  0.500
O  0.000  0.000  0.000
O  0.000  0.265  0.500
O  0.000  0.500  0.000
O  0.000  0.735  0.500
O  0.246  0.500  0.500
O  0.252  0.252  0.000
O  0.252  0.748  0.000
O  0.265  0.000  0.500
O  0.500  0.000  0.000
O  0.500  0.246  0.500
O  0.500  0.500  0.000
O  0.500  0.754  0.500
O  0.735  0.000  0.500
O  0.748  0.252  0.000
O  0.748  0.748  0.000
O  0.754  0.500  0.500